Material: BaZnBiF7
Method: DFT, PBE-GGA
State: relaxed

**E (MP2020)**: -207.06 eV per cell
**Total energy**: -4.85 eV/atom

```
data_BaZnBiF7
_cell_length_a 5.7433
_cell_length_b 10.8298
_cell_length_c 9.9018
_cell_angle_alpha 90.00
_cell_angle_beta 91.70
_cell_angle_gamma 90.00
_space_group_name_H-M_alt 'P 1 21/c 1'
_space_group_IT_number 14
loop_
_space_group_symop_operation_xyz
'x,y,z'
'-x,-y,-z'
'-x,y+1/2,-z+1/2'
'x,-y+1/2,z+1/2'
loop_
_atom_site_label
_atom_site_fract_x
_atom_site_fract_y
_atom_site_fract_z
Ba1 0.2495 0.1692 0.0089
Zn1 0.1994 0.6255 0.7997
Bi1 0.2731 0.5831 0.1675
F1 0.0063 0.2255 0.2734
F2 0.0438 0.5221 0.6542
F3 0.1032 0.1020 0.5892
F4 0.3026 0.7129 0.9802
F5 0.3609 0.0271 0.3790
F6 0.4239 0.5311 0.3694
F7 0.4681 0.7320 0.7281
```